[1]
Hf5Sc | r2SCAN | relaxed

abc: 5.561 5.561 5.025
angles: 90.00 90.00 120.00
Fractional coordinates of all 6 atoms:
Hf  0.661  0.000  0.000
Hf  0.339  0.339  0.000
Hf  0.333  0.667  0.500
Hf  0.667  0.333  0.500
Hf  0.000  0.661  0.000
Sc  0.000  0.000  0.500

=====

[2]
HfScSi2 | r2SCAN | relaxed

abc: 5.273 5.273 3.697
angles: 90.00 90.00 137.40
Fractional coordinates of all 4 atoms:
Si  0.419  0.581  0.500
Sc  0.858  0.142  0.000
Hf  0.140  0.860  0.500
Si  0.583  0.417  0.000

=====

[3]
Hf2Se | r2SCAN | relaxed

abc: 3.436 3.436 12.187
angles: 90.00 90.00 120.00
Fractional coordinates of all 6 atoms:
Hf  0.667  0.333  0.906
Se  0.000  0.000  0.250
Hf  0.667  0.333  0.594
Hf  0.333  0.667  0.094
Se  0.000  0.000  0.750
Hf  0.333  0.667  0.406

=====

[4]
Hf2Se3 | r2SCAN | relaxed

abc: 6.433 13.060 6.438
angles: 75.71 119.98 104.25
Fractional coordinates of all 20 atoms:
Se  0.124  0.367  0.212
Hf  0.666  0.998  0.665
Hf  0.328  0.998  0.000
Se  0.053  0.128  0.956
Hf  0.497  0.498  0.164
Se  0.223  0.627  0.802
Se  0.791  0.371  0.542
Hf  0.002  0.999  0.337
Se  0.289  0.867  0.376
Se  0.706  0.128  0.303
Se  0.454  0.367  0.876
Hf  0.833  0.499  0.836
Hf  0.913  0.732  0.425
Se  0.530  0.628  0.455
Hf  0.745  0.232  0.925
Se  0.366  0.127  0.614
Se  0.623  0.871  0.043
Se  0.876  0.627  0.114
Hf  0.170  0.498  0.500
Se  0.954  0.867  0.712

=====

[5]
HfSe2 | r2SCAN | relaxed

abc: 3.766 3.766 6.410
angles: 90.00 90.00 120.00
Fractional coordinates of all 3 atoms:
Se  0.333  0.667  0.242
Hf  0.000  0.000  0.000
Se  0.667  0.333  0.758

=====

[6]
HfTi4Se10 | r2SCAN | relaxed

abc: 3.603 3.603 31.514
angles: 90.00 90.00 120.00
Fractional coordinates of all 15 atoms:
Se  0.667  0.333  0.154
Ti  0.000  0.000  0.201
Se  0.667  0.333  0.552
Hf  0.000  0.000  0.000
Se  0.667  0.334  0.751
Se  0.667  0.333  0.949
Se  0.333  0.666  0.448
Se  0.333  0.666  0.249
Se  0.666  0.333  0.353
Ti  0.000  0.000  0.400
Se  0.333  0.667  0.051
Ti  0.000  0.000  0.799
Ti  0.000  0.000  0.600
Se  0.333  0.667  0.846
Se  0.334  0.667  0.647

=====

[7]
HfSi | r2SCAN | relaxed

abc: 3.768 5.223 6.862
angles: 90.00 90.00 90.00
Fractional coordinates of all 8 atoms:
Si  0.750  0.139  0.457
Hf  0.750  0.874  0.825
Hf  0.750  0.626  0.325
Si  0.250  0.861  0.543
Hf  0.250  0.126  0.175
Hf  0.250  0.374  0.675
Si  0.750  0.361  0.957
Si  0.250  0.639  0.043

=====

[8]
Tb2Hf3Si4 | r2SCAN | relaxed

abc: 7.268 7.268 13.341
angles: 90.00 90.00 90.00
Fractional coordinates of all 36 atoms:
Tb  0.343  0.995  0.785
Si  0.049  0.296  0.814
Hf  0.325  0.675  0.250
Hf  0.996  0.148  0.627
Si  0.296  0.049  0.186
Hf  0.504  0.648  0.623
Si  0.704  0.951  0.686
Tb  0.843  0.505  0.965
Si  0.861  0.204  0.434
Si  0.549  0.204  0.936
Si  0.796  0.451  0.564
Tb  0.157  0.495  0.465
Hf  0.825  0.825  0.500
Hf  0.648  0.504  0.377
Tb  0.505  0.843  0.035
Tb  0.005  0.657  0.715
Hf  0.352  0.496  0.877
Si  0.951  0.704  0.314
Si  0.204  0.861  0.566
Si  0.639  0.704  0.816
Si  0.204  0.549  0.064
Hf  0.675  0.325  0.750
Si  0.296  0.361  0.684
Si  0.139  0.796  0.934
Hf  0.496  0.352  0.123
Si  0.361  0.296  0.316
Hf  0.852  0.004  0.873
Si  0.796  0.139  0.066
Si  0.451  0.796  0.436
Hf  0.148  0.996  0.373
Hf  0.175  0.175  0.000
Tb  0.495  0.157  0.535
Tb  0.657  0.005  0.285
Si  0.704  0.639  0.184
Hf  0.004  0.852  0.127
Tb  0.995  0.343  0.215

=====

Ordered formation enthalpy at 0 K results: -0.002, -0.839, -0.937, -1.457, -1.565, -1.334, -0.855, -0.885; unit eV/atom.
Ordered raw total energy results: -237.17, -77.45, -214.85, -562.10, -78.47, -260.03, -222.54, -963.88; unit eV per cell.